P) MnVP2O8 (PBE with a Hubbard U, optimized geometry); crystal system = monoclinic; total magnetic moment = 4.0 μB per formula unit
1.0
-2.9210 -3.3017 2.1682
-7.4296 6.8584 -0.2191
-1.6916 -2.0027 -5.3286
O V P Mn
16 2 4 2
direct
0.1905 0.3563 0.7500 O
0.6778 0.0601 0.7500 O
0.2657 0.9032 0.7500 O
0.2963 0.1605 0.0419 O
0.7037 0.8395 0.5419 O
0.2731 0.6803 0.0529 O
0.7269 0.3197 0.5529 O
0.8095 0.6437 0.2500 O
0.8563 0.5406 0.7500 O
0.2731 0.6803 0.4471 O
0.2963 0.1605 0.4581 O
0.7037 0.8395 0.9581 O
0.7269 0.3197 0.9471 O
0.7343 0.0968 0.2500 O
0.3222 0.9399 0.2500 O
0.1437 0.4594 0.2500 O
0.5493 0.7842 0.2500 V
0.4507 0.2158 0.7500 V
0.5713 0.9143 0.7500 P
0.8869 0.3933 0.7500 P
0.4287 0.0857 0.2500 P
0.1131 0.6067 0.2500 P
0.9604 0.2733 0.2500 Mn
0.0396 0.7267 0.7500 Mn


Q) MnVP2O8 (PBE with a Hubbard U, optimized geometry); crystal system = trigonal; total magnetic moment = 6.0 μB per formula unit
1.0
-5.5048 -6.6479 -0.2546
0.3347 -5.5906 -6.5724
2.9035 -8.0208 1.3414
P O V Mn
6 24 3 3
direct
0.7511 0.0454 0.4543 P
0.5394 0.2542 0.9587 P
0.0454 0.4543 0.7511 P
0.9587 0.5394 0.2542 P
0.4543 0.7511 0.0454 P
0.2542 0.9587 0.5394 P
0.0961 0.9510 0.7298 O
0.8789 0.4952 0.6953 O
0.3785 0.1933 0.9967 O
0.4952 0.6953 0.8789 O
0.9144 0.0611 0.2585 O
0.4280 0.5854 0.2389 O
0.1142 0.4885 0.3272 O
0.7643 0.5534 0.4195 O
0.9510 0.7298 0.0961 O
0.7298 0.0961 0.9510 O
0.2389 0.4280 0.5854 O
0.5534 0.4195 0.7643 O
0.4195 0.7643 0.5534 O
0.8054 0.0210 0.6070 O
0.0611 0.2585 0.9144 O
0.1933 0.9967 0.3785 O
0.4885 0.3272 0.1142 O
0.2585 0.9144 0.0611 O
0.5854 0.2389 0.4280 O
0.0210 0.6070 0.8054 O
0.6070 0.8054 0.0210 O
0.6953 0.8789 0.4952 O
0.9967 0.3785 0.1933 O
0.3272 0.1142 0.4885 O
0.6453 0.6453 0.6453 V
0.1434 0.1434 0.1434 V
0.3549 0.3549 0.3549 V
0.4991 0.4991 0.4991 Mn
0.8550 0.8550 0.8550 Mn
0.9977 0.9977 0.9977 Mn


Energy ordering: Q) at the bottom, the next structure 0.031 eV/atom above.


P) MnZnP2O7 (PBE with a Hubbard U, optimized geometry); total magnetic moment = 0.0 μB per formula unit
1.0
5.6113 -0.1090 0.3158
-1.4472 12.3000 1.4707
0.1305 0.0244 7.4650
O Mn P Zn
28 4 8 4
direct
0.0478 0.1573 0.1025 O
0.7999 0.8643 0.2051 O
0.0599 0.6761 0.5736 O
0.2545 0.5698 0.8980 O
0.9401 0.3238 0.4263 O
0.4160 0.7728 0.8313 O
0.3000 0.3643 0.2051 O
0.1560 0.1088 0.4592 O
0.3438 0.3912 0.5409 O
0.9159 0.2728 0.8313 O
0.5478 0.6573 0.1024 O
0.3588 0.9799 0.6692 O
0.2455 0.9303 0.1020 O
0.6412 0.0201 0.3308 O
0.7000 0.6357 0.7948 O
0.6562 0.6088 0.4590 O
0.5599 0.1762 0.5736 O
0.5841 0.2272 0.1687 O
0.0842 0.7273 0.1687 O
0.8439 0.8912 0.5409 O
0.9523 0.8427 0.8976 O
0.7546 0.0698 0.8980 O
0.4522 0.3427 0.8976 O
0.4401 0.8238 0.4263 O
0.2001 0.1357 0.7949 O
0.1412 0.5201 0.3307 O
0.7455 0.4302 0.1020 O
0.8587 0.4799 0.6692 O
0.6579 0.9222 0.8057 Mn
0.8421 0.5778 0.1944 Mn
0.1580 0.4221 0.8054 Mn
0.3418 0.0779 0.1948 Mn
0.4608 0.6583 0.9109 P
0.8191 0.5990 0.6151 P
0.9608 0.1583 0.9110 P
0.6810 0.9009 0.3849 P
0.5392 0.3417 0.0891 P
0.3190 0.0990 0.6152 P
0.0393 0.8417 0.0891 P
0.1809 0.4010 0.3849 P
0.1574 0.8262 0.6533 Zn
0.8425 0.1738 0.3466 Zn
0.6573 0.3262 0.6534 Zn
0.3427 0.6738 0.3466 Zn


Q) MnZnP2O7 (PBE with a Hubbard U, optimized geometry); crystal system = triclinic; total magnetic moment = 0.0 μB per formula unit
1.0
-0.2370 -5.8381 4.2662
7.5751 5.5751 3.6859
-5.8210 5.8324 1.8258
O Mn P Zn
28 4 8 4
direct
0.3460 0.1109 0.5168 O
0.8601 0.1541 0.7929 O
0.2320 0.5708 0.6018 O
0.3459 0.6108 0.0166 O
0.7681 0.4292 0.3982 O
0.4781 0.9158 0.1648 O
0.1376 0.5443 0.1990 O
0.1326 0.3347 0.4029 O
0.4780 0.4157 0.6650 O
0.8606 0.6542 0.2931 O
0.7680 0.9292 0.8982 O
0.8626 0.9557 0.3011 O
0.2842 0.8670 0.6041 O
0.1373 0.0443 0.6989 O
0.6541 0.3892 0.9834 O
0.1399 0.8459 0.2071 O
0.8625 0.4557 0.8010 O
0.1395 0.3458 0.7070 O
0.1326 0.8347 0.9029 O
0.7158 0.6331 0.8959 O
0.8674 0.1653 0.0971 O
0.8674 0.6653 0.5970 O
0.2320 0.0708 0.1018 O
0.2842 0.3670 0.1041 O
0.5218 0.0842 0.8352 O
0.7157 0.1330 0.3960 O
0.6539 0.8890 0.4832 O
0.5221 0.5843 0.3350 O
0.7833 0.2860 0.5965 Mn
0.2169 0.7140 0.4036 Mn
0.2158 0.2139 0.9033 Mn
0.7842 0.7861 0.0967 Mn
0.7627 0.0811 0.9072 P
0.3100 0.5191 0.1473 P
0.2371 0.4189 0.5928 P
0.7629 0.5811 0.4072 P
0.6901 0.4809 0.8527 P
0.3098 0.0191 0.6474 P
0.2373 0.9189 0.0928 P
0.6901 0.9809 0.3526 P
0.1119 0.1270 0.2991 Zn
0.8881 0.3732 0.2010 Zn
0.1119 0.6269 0.7990 Zn
0.8880 0.8730 0.7009 Zn


R) MnZnP2O7 (PBE with a Hubbard U, optimized geometry); crystal system = monoclinic; total magnetic moment = 5.0 μB per formula unit
1.0
-8.3165 -1.2945 1.6300
1.6046 -6.0752 3.3622
1.5746 1.2396 9.0181
O P Zn Mn
28 8 4 4
direct
0.3970 0.0299 0.8772 O
0.2287 0.6227 0.0480 O
0.6161 0.5457 0.1023 O
0.8970 0.9701 0.6228 O
0.8218 0.7488 0.8991 O
0.8908 0.8883 0.1902 O
0.7713 0.3773 0.9520 O
0.6092 0.8883 0.6902 O
0.7397 0.1175 0.2968 O
0.2713 0.6227 0.5480 O
0.8839 0.5457 0.6023 O
0.1030 0.0299 0.3772 O
0.2397 0.8825 0.2032 O
0.0904 0.5081 0.8497 O
0.1161 0.4543 0.3977 O
0.7287 0.3773 0.4520 O
0.3218 0.2512 0.6009 O
0.1782 0.2512 0.1009 O
0.1092 0.1117 0.8098 O
0.6782 0.7488 0.3991 O
0.9096 0.4919 0.1503 O
0.5904 0.4919 0.6503 O
0.6030 0.9701 0.1228 O
0.4096 0.5081 0.3497 O
0.7603 0.1175 0.7968 O
0.3908 0.1117 0.3098 O
0.3839 0.4543 0.8977 O
0.2603 0.8825 0.7032 O
0.7767 0.5330 0.0304 P
0.2350 0.0625 0.2572 P
0.2233 0.4670 0.9696 P
0.7350 0.9375 0.2428 P
0.7233 0.5330 0.5304 P
0.2650 0.0625 0.7572 P
0.7650 0.9375 0.7428 P
0.2767 0.4670 0.4696 P
0.5588 0.3011 0.3168 Zn
0.0588 0.6989 0.1832 Zn
0.9412 0.3011 0.8168 Zn
0.4412 0.6989 0.6832 Zn
0.9305 0.2366 0.3912 Mn
0.4305 0.7634 0.1088 Mn
0.5695 0.2366 0.8912 Mn
0.0695 0.7634 0.6088 Mn


Energy ordering: R) at the bottom, the next structure 0.014 eV/atom above.


P) Sr3PrMn4O12 (PBE with a Hubbard U, optimized geometry); crystal system = orthorhombic; total magnetic moment = 13.0 μB per formula unit
1.0
-4.4225 2.4648 2.2017
-1.3982 -4.8272 2.2856
4.1170 1.7797 6.2773
Pr Sr O Mn
1 3 12 4
direct
0.0061 0.9939 0.5000 Pr
0.0014 0.9986 0.0000 Sr
0.4995 0.5005 0.5000 Sr
0.4953 0.5047 0.0000 Sr
0.2449 0.2453 0.7401 O
0.2506 0.7494 0.7795 O
0.2506 0.7494 0.2205 O
0.5312 0.0361 0.0000 O
0.7573 0.2427 0.2931 O
0.7547 0.7551 0.2599 O
0.2449 0.2453 0.2599 O
0.7547 0.7551 0.7401 O
0.9639 0.4688 0.0000 O
0.7573 0.2427 0.7069 O
0.0329 0.5457 0.5000 O
0.4543 0.9671 0.5000 O
0.9995 0.4992 0.2500 Mn
0.5008 0.0005 0.7500 Mn
0.9995 0.4992 0.7500 Mn
0.5008 0.0005 0.2500 Mn


Q) Sr3PrMn4O12 (PBE with a Hubbard U, optimized geometry); crystal system = cubic; total magnetic moment = 13.0 μB per formula unit
1.0
-2.9392 -5.2485 -3.0132
4.6167 -2.2158 4.3637
-4.6463 3.5924 3.2821
Mn O Sr Pr
4 12 3 1
direct
0.0000 0.5000 0.0000 Mn
0.0000 0.0000 0.5000 Mn
0.5000 0.5000 0.5000 Mn
0.5000 0.0000 0.0000 Mn
0.2452 0.4904 0.2452 O
0.7548 0.5096 0.7548 O
0.2452 0.7548 0.0000 O
0.7548 0.7548 0.5096 O
0.0000 0.2452 0.7548 O
0.0000 0.7548 0.2452 O
0.4904 0.2452 0.2452 O
0.7548 0.0000 0.2452 O
0.2452 0.0000 0.7548 O
0.7548 0.2452 0.0000 O
0.2452 0.2452 0.4904 O
0.5096 0.7548 0.7548 O
0.5000 0.0000 0.5000 Sr
0.5000 0.5000 0.0000 Sr
0.0000 0.5000 0.5000 Sr
0.0000 0.0000 0.0000 Pr


Energy ordering: P) at the bottom, the next structure 0.010 eV/atom above.


P) MnRe2O10 (PBE with a Hubbard U, optimized geometry); crystal system = monoclinic; total magnetic moment = 1.0 μB per formula unit
1.0
0.1919 0.0000 -5.6642
0.0000 -5.8309 0.0000
-7.3934 2.9154 2.9108
O Re Mn
10 2 1
direct
0.8992 0.0929 0.1857 O
0.0568 0.6733 0.3465 O
0.7269 0.1860 0.8694 O
0.1008 0.9071 0.8143 O
0.2731 0.8140 0.1306 O
0.7269 0.6834 0.8694 O
0.9432 0.3267 0.6535 O
0.4049 0.2737 0.5475 O
0.5951 0.7263 0.4525 O
0.2731 0.3166 0.1306 O
0.3007 0.6343 0.2686 Re
0.6993 0.3657 0.7314 Re
0.0000 0.0000 0.0000 Mn


Q) MnRe2O10 (PBE with a Hubbard U, optimized geometry); crystal system = monoclinic; total magnetic moment = 1.0 μB per formula unit
1.0
2.8991 7.1776 0.0000
-2.8991 7.1776 0.0000
0.0000 1.9157 5.3368
O Re Mn
10 2 1
direct
0.2584 0.2584 0.1205 O
0.7416 0.7416 0.8795 O
0.1853 0.6852 0.8480 O
0.8894 0.8894 0.3165 O
0.6852 0.1853 0.8480 O
0.8147 0.3148 0.1520 O
0.1106 0.1106 0.6835 O
0.6760 0.6760 0.4048 O
0.3240 0.3240 0.5952 O
0.3148 0.8147 0.1520 O
0.3621 0.3621 0.8538 Re
0.6379 0.6379 0.1462 Re
0.0000 0.0000 0.0000 Mn


Energy ordering: P) at the bottom, the next structure 0.020 eV/atom above.


P) Mn2S3O12 (PBE with a Hubbard U, optimized geometry); crystal system = monoclinic
1.0
-8.0010 3.0721 0.6779
-3.0214 -7.9887 0.5422
-1.7403 -7.2298 12.2236
S O Mn
12 48 8
direct
0.2457 0.4441 0.5086 S
0.8828 0.9741 0.1447 S
0.6227 0.2621 0.8503 S
0.2543 0.4441 0.0086 S
0.1172 0.0259 0.8553 S
0.3773 0.7379 0.1497 S
0.3828 0.0259 0.3553 S
0.6172 0.9741 0.6447 S
0.7457 0.5559 0.9914 S
0.7543 0.5559 0.4914 S
0.1227 0.7379 0.6497 S
0.8773 0.2621 0.3503 S
0.0083 0.1161 0.7563 O
0.1413 0.4742 0.9196 O
0.4917 0.1161 0.2563 O
0.4113 0.8396 0.0264 O
0.7253 0.9806 0.1875 O
0.7966 0.2919 0.8335 O
0.7034 0.2919 0.3335 O
0.5083 0.8839 0.7437 O
0.0641 0.8291 0.9407 O
0.3587 0.4742 0.4196 O
0.0825 0.8601 0.6871 O
0.2747 0.0194 0.8125 O
0.3678 0.5966 0.9468 O
0.8224 0.5565 0.8993 O
0.3822 0.1444 0.3992 O
0.2253 0.0194 0.3125 O
0.6743 0.7472 0.9432 O
0.9175 0.1399 0.3129 O
0.6413 0.5258 0.5804 O
0.2966 0.7081 0.6665 O
0.6322 0.4034 0.0532 O
0.9620 0.4452 0.2861 O
0.5641 0.1709 0.5593 O
0.1776 0.4435 0.1007 O
0.3257 0.2528 0.0568 O
0.4359 0.8291 0.4407 O
0.5380 0.4452 0.7861 O
0.6776 0.5565 0.3993 O
0.8822 0.8556 0.1008 O
0.0887 0.8396 0.5264 O
0.9113 0.1604 0.4736 O
0.9359 0.1709 0.0593 O
0.5825 0.1399 0.8129 O
0.6178 0.8556 0.6008 O
0.8587 0.5258 0.0804 O
0.1178 0.1444 0.8992 O
0.3224 0.4435 0.6007 O
0.9917 0.8839 0.2437 O
0.1743 0.2528 0.5568 O
0.8257 0.7472 0.4432 O
0.8678 0.4034 0.5532 O
0.4175 0.8601 0.1871 O
0.7747 0.9806 0.6875 O
0.5887 0.1604 0.9736 O
0.1322 0.5966 0.4468 O
0.4620 0.5548 0.2139 O
0.0380 0.5548 0.7139 O
0.2034 0.7081 0.1665 O
0.9698 0.3659 0.8876 Mn
0.0318 0.8666 0.3844 Mn
0.5318 0.1334 0.1156 Mn
0.9682 0.1334 0.6156 Mn
0.4698 0.6341 0.6124 Mn
0.5302 0.3659 0.3876 Mn
0.0302 0.6341 0.1124 Mn
0.4682 0.8666 0.8844 Mn


Q) Mn2S3O12 (PBE with a Hubbard U, optimized geometry); crystal system = monoclinic; total magnetic moment = 8.0 μB per formula unit
1.0
-7.2194 -0.5273 -2.8459
-1.6448 -6.6397 -3.7022
-5.5330 -5.6955 4.6354
Mn O S
4 24 6
direct
0.8699 0.3680 0.9688 Mn
0.6320 0.1301 0.5312 Mn
0.1301 0.6320 0.0312 Mn
0.3680 0.8699 0.4688 Mn
0.4532 0.1183 0.3494 O
0.6078 0.3517 0.1227 O
0.0766 0.8073 0.1800 O
0.1328 0.5130 0.5584 O
0.5130 0.1328 0.0584 O
0.3922 0.6483 0.8773 O
0.1183 0.4532 0.8494 O
0.8672 0.4870 0.4416 O
0.6483 0.3922 0.3773 O
0.3969 0.2592 0.6867 O
0.1927 0.9234 0.3200 O
0.2592 0.3969 0.1867 O
0.8416 0.9730 0.3829 O
0.1584 0.0270 0.6171 O
0.4870 0.8672 0.9416 O
0.9730 0.8416 0.8829 O
0.0270 0.1584 0.1171 O
0.3517 0.6078 0.6227 O
0.7408 0.6031 0.8133 O
0.6031 0.7408 0.3133 O
0.8073 0.0766 0.6800 O
0.8817 0.5468 0.1506 O
0.9234 0.1927 0.8200 O
0.5468 0.8817 0.6506 O
0.9620 0.0380 0.7500 S
0.7558 0.5375 0.3317 S
0.4625 0.2442 0.1683 S
0.5375 0.7558 0.8317 S
0.0380 0.9620 0.2500 S
0.2442 0.4625 0.6683 S


Energy ordering: P) at the bottom, the next structure 0.035 eV/atom above.